Material: SmI2
Method: DFT, PBE-GGA
State: optimized geometry

Calculated values
The calculation puts the density at 6.23 Mg/m³. As for the formation energy: -4.14 eV per formula unit. Its energy is -3.72 eV/atom. For the volume, the calculation gives 35.936 A^3/atom.

Cell: 7.400 8.247 14.131 Å, 90.00 90.00 90.00°
Element x y z (fractional)
Sm  0.675  0.050  0.406
Sm  0.675  0.550  0.094
Sm  0.175  0.450  0.406
Sm  0.825  0.050  0.906
Sm  0.825  0.550  0.594
Sm  0.325  0.950  0.594
Sm  0.325  0.450  0.906
Sm  0.175  0.950  0.094
I  0.195  0.116  0.795
I  0.695  0.884  0.705
I  0.482  0.793  0.954
I  0.805  0.384  0.295
I  0.982  0.207  0.546
I  0.982  0.707  0.954
I  0.305  0.616  0.205
I  0.518  0.207  0.046
I  0.018  0.293  0.046
I  0.695  0.384  0.795
I  0.305  0.116  0.295
I  0.518  0.707  0.454
I  0.018  0.793  0.454
I  0.805  0.884  0.205
I  0.482  0.293  0.546
I  0.195  0.616  0.705

***

Material: Pm3I
Method: DFT, PBE-GGA
State: optimized geometry

Calculated values
The energy relative to the lowest polymorph listed for this composition is 0.0 meV/atom. The calculation puts the density at 7.46 Mg/m³. As for the formation energy: -0.85 eV per formula unit. Its energy is -4.06 eV/atom. For the volume, the calculation gives 31.257 A^3/atom.

Cell: 7.067 7.067 5.782 Å, 90.00 90.00 120.00°
Element x y z (fractional)
Pm  0.834  0.667  0.750
Pm  0.166  0.333  0.250
Pm  0.166  0.834  0.250
Pm  0.834  0.166  0.750
Pm  0.333  0.166  0.750
Pm  0.667  0.834  0.250
I  0.667  0.333  0.250
I  0.333  0.667  0.750

***

Material: P3RuO9
Method: DFT, PBE-GGA
State: optimized geometry

Calculated values
The energy relative to the lowest polymorph listed for this composition is 20.8 meV/atom. The calculation puts the density at 3.31 Mg/m³. As for the formation energy: -29.54 eV per formula unit. Its energy is -7.18 eV/atom. For the volume, the calculation gives 13.036 A^3/atom.

Cell: 7.434 7.434 9.593 Å, 57.86 57.86 52.59°
Element x y z (fractional)
O  0.500  0.500  0.500
O  0.150  0.403  0.175
O  0.605  0.667  0.673
O  0.252  0.862  0.322
O  0.039  0.164  0.092
O  0.667  0.605  0.173
O  0.403  0.150  0.675
O  0.961  0.836  0.908
O  0.748  0.138  0.678
O  0.500  0.500  0.000
O  0.597  0.850  0.325
O  0.862  0.252  0.822
O  0.850  0.597  0.825
O  0.164  0.039  0.592
O  0.836  0.961  0.408
O  0.395  0.333  0.327
O  0.138  0.748  0.178
O  0.333  0.395  0.827
Ru  0.500  0.000  0.500
Ru  0.000  0.500  0.000
P  0.705  0.521  0.822
P  0.521  0.705  0.322
P  0.947  0.053  0.750
P  0.479  0.295  0.678
P  0.053  0.947  0.250
P  0.295  0.479  0.178

***

Material: RbMg14Zr
Method: DFT, PBE-GGA
State: optimized geometry

Calculated values
The energy relative to the lowest polymorph listed for this composition is 0.0 meV/atom. The calculation puts the density at 2.16 Mg/m³. As for the formation energy: 2.46 eV per formula unit. Its energy is -1.84 eV/atom. For the volume, the calculation gives 24.794 A^3/atom.

Cell: 6.652 6.652 10.353 Å, 90.00 90.00 120.00°
Element x y z (fractional)
Mg  0.167  0.833  0.125
Mg  0.338  0.675  0.360
Mg  0.667  0.333  0.125
Mg  0.833  0.667  0.873
Mg  0.825  0.162  0.890
Mg  0.833  0.667  0.377
Mg  0.338  0.675  0.890
Mg  0.176  0.838  0.625
Mg  0.662  0.324  0.625
Mg  0.338  0.162  0.360
Mg  0.662  0.838  0.625
Mg  0.338  0.162  0.890
Mg  0.667  0.833  0.125
Mg  0.825  0.162  0.360
Rb  0.167  0.333  0.625
Zr  0.167  0.333  0.125

***

Material: Ce4H11
Method: DFT, PBE-GGA
State: optimized geometry

Calculated values
The calculation puts the density at 5.92 Mg/m³. As for the formation energy: -9.37 eV per formula unit. Its energy is -4.56 eV/atom. For the volume, the calculation gives 10.684 A^3/atom.

Cell: 6.631 6.631 6.631 Å, 131.48 131.48 71.05°
Element x y z (fractional)
H  0.883  0.883  0.525
H  0.250  0.750  0.500
H  0.500  0.500  0.000
H  0.642  0.117  0.000
H  0.642  0.642  0.525
H  0.117  0.117  0.475
H  0.750  0.250  0.500
H  0.117  0.642  0.000
H  0.883  0.358  0.000
H  0.358  0.883  0.000
H  0.358  0.358  0.475
Ce  0.000  0.500  0.500
Ce  0.259  0.259  0.000
Ce  0.741  0.741  0.000
Ce  0.500  0.000  0.500

***

Material: BaU2Se5
Method: DFT, PBE-GGA
State: optimized geometry

Calculated values
The energy relative to the lowest polymorph listed for this composition is 0.0 meV/atom. The calculation puts the density at 7.81 Mg/m³. As for the formation energy: -13.57 eV per formula unit. Its energy is -6.65 eV/atom. For the volume, the calculation gives 26.787 A^3/atom.

Cell: 7.878 8.848 12.297 Å, 89.74 90.00 90.00°
Element x y z (fractional)
U  0.523  0.001  0.182
U  0.071  0.757  0.008
U  0.477  0.999  0.818
U  0.929  0.243  0.992
U  0.023  0.999  0.318
U  0.571  0.243  0.492
U  0.977  0.001  0.682
U  0.429  0.757  0.508
Se  0.823  0.539  0.929
Se  0.187  0.775  0.784
Se  0.336  0.045  0.597
Se  0.164  0.045  0.097
Se  0.177  0.461  0.071
Se  0.952  0.208  0.498
Se  0.048  0.792  0.502
Se  0.160  0.216  0.812
Se  0.323  0.461  0.571
Se  0.836  0.955  0.903
Se  0.687  0.225  0.716
Se  0.813  0.225  0.216
Se  0.840  0.784  0.188
Se  0.548  0.208  0.998
Se  0.677  0.539  0.429
Se  0.313  0.775  0.284
Se  0.664  0.955  0.403
Se  0.340  0.216  0.312
Se  0.452  0.792  0.002
Se  0.660  0.784  0.688
Ba  0.055  0.492  0.331
Ba  0.445  0.492  0.831
Ba  0.555  0.508  0.169
Ba  0.945  0.508  0.669

***

Material: ZrVCo
Method: DFT, PBE-GGA
State: optimized geometry

Calculated values
The energy relative to the lowest polymorph listed for this composition is 13.7 meV/atom. The calculation puts the density at 7.22 Mg/m³. As for the formation energy: -0.66 eV per formula unit. Its energy is -8.47 eV/atom. For the volume, the calculation gives 15.407 A^3/atom.

Cell: 4.991 4.991 8.398 Å, 90.00 90.00 117.91°
Element x y z (fractional)
Co  0.652  0.837  0.500
Co  0.005  0.995  0.252
Co  0.005  0.995  0.748
Co  0.163  0.348  0.500
V  0.148  0.852  0.500
V  0.341  0.164  0.000
V  0.831  0.169  0.000
V  0.836  0.659  0.000
Zr  0.337  0.663  0.802
Zr  0.337  0.663  0.198
Zr  0.674  0.326  0.319
Zr  0.674  0.326  0.681

***

Material: CaCu4As2
Method: DFT, PBE-GGA
State: optimized geometry

Calculated values
The calculation puts the density at 6.52 Mg/m³. As for the formation energy: -2.42 eV per formula unit. Its energy is -4.31 eV/atom. For the volume, the calculation gives 16.153 A^3/atom.

Cell: 4.164 4.164 7.905 Å, 74.73 74.73 60.00°
Element x y z (fractional)
As  0.747  0.747  0.760
As  0.253  0.253  0.240
Cu  0.437  0.437  0.690
Cu  0.856  0.856  0.433
Cu  0.144  0.144  0.567
Cu  0.563  0.563  0.310
Ca  0.000  0.000  0.000

***

Material: Mg2TiO4
Method: DFT, PBE-GGA
State: optimized geometry

Calculated values
The energy relative to the lowest polymorph listed for this composition is 20.4 meV/atom. The calculation puts the density at 3.45 Mg/m³. As for the formation energy: -22.83 eV per formula unit. Its energy is -7.28 eV/atom. For the volume, the calculation gives 11.047 A^3/atom.

Cell: 6.027 6.027 6.027 Å, 120.18 119.96 89.87°
Element x y z (fractional)
O  0.748  0.274  0.026
O  0.252  0.277  0.526
O  0.242  0.727  0.515
O  0.748  0.723  0.474
O  0.712  0.727  0.985
O  0.288  0.273  0.015
O  0.252  0.726  0.974
O  0.758  0.273  0.485
Ti  0.000  0.500  0.500
Ti  0.500  0.500  0.000
Mg  0.500  0.000  0.000
Mg  0.500  0.500  0.500
Mg  0.886  0.136  0.750
Mg  0.114  0.864  0.250

***

Material: KZn4SbO7
Method: DFT, PBE-GGA
State: optimized geometry

Calculated values
The calculation puts the density at 5.21 Mg/m³. As for the formation energy: -24.42 eV per formula unit. Its energy is -4.96 eV/atom. For the volume, the calculation gives 13.097 A^3/atom.

Cell: 6.238 6.238 10.106 Å, 90.00 90.00 120.00°
Element x y z (fractional)
Zn  0.000  0.000  0.752
Zn  0.173  0.827  0.507
Zn  0.173  0.346  0.507
Zn  0.827  0.173  0.007
Zn  0.000  0.000  0.252
Zn  0.346  0.173  0.007
Zn  0.827  0.654  0.007
Zn  0.654  0.827  0.507
O  0.000  0.000  0.057
O  0.643  0.822  0.311
O  0.976  0.488  0.580
O  0.000  0.000  0.557
O  0.822  0.643  0.811
O  0.178  0.822  0.311
O  0.488  0.512  0.080
O  0.822  0.178  0.811
O  0.178  0.357  0.311
O  0.512  0.488  0.580
O  0.357  0.178  0.811
O  0.512  0.024  0.580
O  0.488  0.976  0.080
O  0.024  0.512  0.080
Sb  0.667  0.333  0.695
Sb  0.333  0.667  0.195
K  0.667  0.333  0.322
K  0.333  0.667  0.822

***

Material: FeH16C4N2Cl4
Method: DFT, PBE-GGA
State: optimized geometry

Calculated values
The calculation puts the density at 1.44 Mg/m³. As for the formation energy: -11.34 eV per formula unit. Its energy is -4.91 eV/atom. For the volume, the calculation gives 12.343 A^3/atom.

Cell: 11.425 7.989 16.009 Å, 65.82 90.00 90.00°
Element x y z (fractional)
H  0.452  0.164  0.012
H  0.415  0.187  0.734
H  0.903  0.002  0.847
H  0.548  0.836  0.988
H  0.930  0.213  0.213
H  0.816  0.567  0.715
H  0.811  0.414  0.659
H  0.273  0.182  0.931
H  0.108  0.119  0.722
H  0.476  0.245  0.891
H  0.311  0.586  0.841
H  0.533  0.690  0.380
H  0.958  0.035  0.120
H  0.976  0.755  0.609
H  0.226  0.329  0.484
H  0.818  0.536  0.165
H  0.597  0.002  0.347
H  0.524  0.596  0.057
H  0.024  0.404  0.443
H  0.458  0.965  0.380
H  0.274  0.329  0.984
H  0.182  0.464  0.835
H  0.915  0.813  0.766
H  0.608  0.881  0.778
H  0.892  0.881  0.278
H  0.585  0.813  0.266
H  0.727  0.818  0.069
H  0.689  0.414  0.159
H  0.570  0.213  0.713
H  0.957  0.159  0.689
H  0.457  0.841  0.811
H  0.430  0.787  0.287
H  0.227  0.182  0.431
H  0.542  0.035  0.620
H  0.979  0.739  0.240
H  0.048  0.164  0.512
H  0.976  0.596  0.557
H  0.043  0.841  0.311
H  0.967  0.690  0.880
H  0.070  0.787  0.787
H  0.479  0.261  0.260
H  0.774  0.671  0.516
H  0.403  0.998  0.653
H  0.021  0.261  0.760
H  0.467  0.310  0.620
H  0.189  0.586  0.341
H  0.316  0.433  0.785
H  0.952  0.836  0.488
H  0.521  0.739  0.740
H  0.042  0.965  0.880
H  0.024  0.245  0.391
H  0.392  0.119  0.222
H  0.085  0.187  0.234
H  0.726  0.671  0.016
H  0.097  0.998  0.153
H  0.543  0.159  0.189
H  0.184  0.433  0.285
H  0.524  0.755  0.109
H  0.682  0.536  0.665
H  0.033  0.310  0.120
H  0.773  0.818  0.569
H  0.318  0.464  0.335
H  0.476  0.404  0.943
H  0.684  0.567  0.215
N  0.809  0.697  0.570
N  0.486  0.022  0.674
N  0.691  0.697  0.070
N  0.986  0.978  0.826
N  0.514  0.978  0.326
N  0.309  0.303  0.930
N  0.014  0.022  0.174
N  0.191  0.303  0.430
Fe  0.704  0.255  0.454
Fe  0.204  0.745  0.046
Fe  0.796  0.255  0.954
Fe  0.296  0.745  0.546
C  0.778  0.542  0.659
C  0.515  0.803  0.314
C  0.015  0.197  0.186
C  0.521  0.859  0.757
C  0.437  0.277  0.945
C  0.222  0.458  0.341
C  0.485  0.197  0.686
C  0.722  0.542  0.159
C  0.479  0.141  0.243
C  0.278  0.458  0.841
C  0.937  0.723  0.555
C  0.563  0.723  0.055
C  0.063  0.277  0.445
C  0.021  0.141  0.743
C  0.985  0.803  0.814
C  0.979  0.859  0.257
Cl  0.783  0.541  0.412
Cl  0.729  0.100  0.869
Cl  0.771  0.100  0.369
Cl  0.505  0.270  0.442
Cl  0.263  0.929  0.898
Cl  0.717  0.541  0.912
Cl  0.283  0.459  0.088
Cl  0.495  0.730  0.558
Cl  0.995  0.270  0.942
Cl  0.229  0.900  0.631
Cl  0.737  0.071  0.102
Cl  0.217  0.459  0.588
Cl  0.763  0.071  0.602
Cl  0.271  0.900  0.131
Cl  0.005  0.730  0.058
Cl  0.237  0.929  0.398

***

Material: Ce4SiI5
Method: DFT, PBE-GGA
State: optimized geometry

Calculated values
The calculation puts the density at 5.19 Mg/m³. As for the formation energy: -13.18 eV per formula unit. Its energy is -4.81 eV/atom. For the volume, the calculation gives 39.096 A^3/atom.

Cell: 10.319 10.319 9.147 Å, 77.81 77.81 24.27°
Element x y z (fractional)
I  0.339  0.339  0.334
I  0.669  0.669  0.172
I  0.000  0.000  0.500
I  0.661  0.661  0.666
I  0.331  0.331  0.828
Ce  0.144  0.144  0.928
Ce  0.498  0.498  0.787
Ce  0.856  0.856  0.072
Ce  0.502  0.502  0.213
Si  0.000  0.000  0.000